# Cs3FeF6

Cs3FeF6 after structural relaxation (PBE with a Hubbard U, Materials Project).

calculated density = 4.256 Mg/m³
ΔE_f = -2900 meV/atom
crystal system = cubic

Lattice parameters (Å, degrees): 9.6094 9.6094 9.6094 90.00 90.00 90.00
With the nearest neighbours (Å) after each atom.
Space group Fm-3m (No. 225)
Inequivalent atoms, fractional coordinates:
Cs 0.0000 0.0000 0.0000 x4  6 F 2.83
Cs 0.2500 0.2500 0.2500 x8  12 F 3.42
Fe 0.0000 0.0000 0.5000 x4  6 F 1.97
F 0.0000 0.0000 0.2948 x24  1 Fe 1.97

=====

# Na4V2C4SO16

Na4V2C4SO16 after structural relaxation (PBE with a Hubbard U, Materials Project).

energy above the lowest structure with this stoichiometry = 0.016 eV/atom
total magnetic moment = 32.00 Bohr magnetons per cell
calculated density = 2.551 Mg/m³
ΔE_f = -2086 meV/atom
crystal system = orthorhombic

Lattice parameters (Å, degrees): 13.8852 14.0941 14.0990 90.00 90.00 90.00
With the nearest neighbours (Å) after each atom.
Space group F222 (No. 22)
Inequivalent atoms, fractional coordinates:
Na 0.0000 0.0000 0.2138 x8  6 O 2.47
Na 0.0000 0.2119 0.0000 x8  6 O 2.45-2.49
Na 0.0452 0.2500 0.2500 x8  6 O 2.30-2.53
Na 0.2137 0.0000 0.0000 x8  6 O 2.41-2.54
V 0.1263 0.1247 0.6240 x16  6 O 2.03-2.09
C 0.0886 0.0883 0.4131 x16  3 O 1.29-1.31
C 0.1584 0.1613 0.8373 x16  3 O 1.29-1.30
S 0.0000 0.0000 0.0000 x4  4 O 1.50
S 0.2500 0.2500 0.2500 x4  4 O 1.50
O 0.0194 0.1052 0.3527 x16  1 C 1.31
O 0.0619 0.0614 0.0615 x16  1 S 1.50
O 0.0996 0.2312 0.8548 x16  1 C 1.30
O 0.1011 0.1458 0.4838 x16  1 C 1.30
O 0.1403 0.1059 0.7660 x16  1 C 1.30
O 0.1450 0.0168 0.4018 x16  1 C 1.29
O 0.1863 0.1893 0.1892 x16  1 S 1.50
O 0.2299 0.1441 0.8927 x16  1 C 1.29

=====

# Na2V13O22

Na2V13O22 after structural relaxation (PBE with a Hubbard U, Materials Project).

total magnetic moment = 92.00 Bohr magnetons per cell
calculated density = 4.186 Mg/m³
ΔE_f = -2445 meV/atom
crystal system = orthorhombic

Lattice parameters (Å, degrees): 11.5926 10.3107 14.0731 90.00 90.00 90.00
With the nearest neighbours (Å) after each atom.
Space group Cmce (No. 64)
Inequivalent atoms, fractional coordinates:
Na 0.0000 0.1617 0.0935 x8  7 O 2.69-2.88
V 0.0000 0.0000 0.5000 x4  6 O 2.01-2.08
V 0.0000 0.1691 0.8403 x8  6 O 2.00-2.14
V 0.1280 0.0606 0.3178 x16  6 O 1.95-2.08
V 0.2289 0.0000 0.0000 x8  6 O 1.92-2.11
V 0.2453 0.1926 0.6519 x16  6 O 1.96-2.13
O 0.0000 0.0042 0.7587 x8  3 V 1.95-2.05
O 0.0000 0.1402 0.4005 x8  4 V 2.01-2.14
O 0.1264 0.1056 0.9251 x16  3 V 1.93-2.05
O 0.1278 0.2421 0.2584 x16  4 V 2.05-2.13
O 0.1339 0.0811 0.5782 x16  4 V 2.02-2.11
O 0.2451 0.1348 0.0935 x16  3 V 1.92-2.08
O 0.2500 0.0404 0.7500 x8  4 V 2.00-2.09

=====

# Li2Mn3Si4O12

Li2Mn3Si4O12 after structural relaxation (PBE with a Hubbard U, Materials Project).

total magnetic moment = 60.00 Bohr magnetons per cell
calculated density = 2.856 Mg/m³
ΔE_f = -2745 meV/atom
crystal system = orthorhombic

Lattice parameters (Å, degrees): 7.6726 10.3886 14.0927 90.00 90.00 90.00
With the nearest neighbours (Å) after each atom.
Space group Pnma (No. 62)
Inequivalent atoms, fractional coordinates:
Li 0.0323 0.2500 0.1404 x4  2 O 2.03
Li 0.2364 0.2500 0.4952 x4  4 O 2.12-2.20
Mn 0.0000 0.0000 0.0000 x4  4 O 2.09-2.13
Mn 0.2079 0.7500 0.4395 x4  4 O 2.06-2.10
Mn 0.2298 0.2500 0.7153 x4  4 O 2.06-2.11
Si 0.1802 0.5373 0.6229 x8  4 O 1.63-1.67
Si 0.2204 0.0387 0.3335 x8  4 O 1.62-1.66
O 0.0272 0.0785 0.3765 x8  2 Si 1.65
O 0.1369 0.6099 0.9005 x8  1 Si 1.62
O 0.2112 0.1163 0.6081 x8  1 Si 1.63
O 0.2201 0.1141 0.0380 x8  1 Si 1.63
O 0.2299 0.0924 0.2227 x8  2 Si 1.66-1.67
O 0.2423 0.6183 0.3282 x8  1 Si 1.64

=====

# Eu2Mo3O12

Eu2Mo3O12 after structural relaxation (PBE with a Hubbard U, Materials Project).

energy above the lowest structure with this stoichiometry = 0.000 eV/atom
calculated density = 5.121 Mg/m³
ΔE_f = -2377 meV/atom
crystal system = monoclinic

Lattice parameters (Å, degrees): 7.8447 11.7543 11.6535 90.00 108.91 90.00
With the nearest neighbours (Å) after each atom.
Space group C2/c (No. 15)
Inequivalent atoms, fractional coordinates:
Eu 0.1763 0.1284 0.0918 x8  8 O 2.42-2.55
Mo 0.0000 0.1214 0.7500 x4  4 O 1.78-1.83
Mo 0.1586 0.3566 0.5525 x8  4 O 1.76-1.90
O 0.0118 0.0405 0.8860 x8  1 Mo 1.83
O 0.0689 0.2971 0.9586 x8  1 Mo 1.88
O 0.1139 0.2133 0.4218 x8  1 Mo 1.90
O 0.1431 0.4653 0.4459 x8  1 Mo 1.76
O 0.1960 0.2081 0.7807 x8  1 Mo 1.78
O 0.2144 0.4263 0.6970 x8  1 Mo 1.79

=====

# Mn2FeAg2P3O12

Mn2FeAg2P3O12 after structural relaxation (PBE with a Hubbard U, Materials Project).

energy above the lowest structure with this stoichiometry = 0.936 eV/atom
total magnetic moment = 52.00 Bohr magnetons per cell
calculated density = 3.630 Mg/m³
ΔE_f = -1241 meV/atom
crystal system = monoclinic

Lattice parameters (Å, degrees): 11.2416 12.1797 9.6265 90.00 112.32 90.00
With the nearest neighbours (Å) after each atom.
Space group C2 (No. 5)
Inequivalent atoms, fractional coordinates:
Mn 0.0000 0.0000 0.0000 x2  4 O 2.06-2.07
Mn 0.0000 0.1506 0.5000 x2  2 O 1.97
Mn 0.2245 0.8127 0.9014 x4  4 O 1.96-2.13
Fe 0.1851 0.4306 0.2966 x4  4 O 1.86-2.08
Ag 0.0000 0.5320 0.0000 x2  4 O 2.33-2.47
Ag 0.0000 0.7314 0.5000 x2  6 O 2.61-2.83
Ag 0.1390 0.1546 0.2880 x4  1 O 2.18, 1 P 2.35
P 0.0000 0.4641 0.5000 x2  4 O 1.52-1.62
P 0.0000 0.7730 0.0000 x2  4 O 1.52-1.62
P 0.1039 0.9794 0.3678 x4  2 O 1.50-1.55
P 0.1084 0.3178 0.7777 x4  3 O 1.56-1.73
O 0.0073 0.7057 0.1362 x4  1 P 1.52
O 0.0094 0.8870 0.3175 x4  1 P 1.50
O 0.0192 0.3555 0.2086 x4  1 P 1.56
O 0.0749 0.5263 0.4224 x4  1 P 1.52
O 0.0854 0.1970 0.7114 x4  1 P 1.58
O 0.1066 0.3852 0.6193 x4  2 P 1.62-1.73
O 0.1137 0.8627 0.0278 x4  1 P 1.62
O 0.1164 0.1363 0.0234 x4  1 O 1.36
O 0.1577 0.0049 0.5383 x4  1 P 1.55
O 0.2052 0.4570 0.1164 x4  1 Fe 1.86, 1 Mn 1.96
O 0.2283 0.7890 0.6977 x4  1 Fe 1.97, 1 Mn 2.00, 1 Ag 2.18
O 0.2425 0.1483 0.0457 x4  1 O 1.36